LiCoPO4: optimized geometry, PBE with a Hubbard U.

Computed properties:
Symmetry: C2 (5)
Excess energy over the best structure of this formula in the dataset (meV/atom): 64.4
Calculated formation energy (eV per atom): -2.344

a = 5.294 Å, b = 5.294 Å, c = 25.248 Å
α = 90.00°, β = 90.00°, γ = 120.07°
Element x y z (fractional)
1 Li 0.000 0.000 0.083
2 Li 0.000 0.000 0.250
3 Li 0.000 0.000 0.417
4 Li 0.000 0.000 0.583
5 Li 0.000 0.000 0.750
6 Li 0.000 0.000 0.917
7 Co 0.000 0.500 0.167
8 Co 0.000 0.500 0.667
9 Co 0.500 0.000 0.333
10 Co 0.500 0.000 0.833
11 Co 0.500 0.500 0.000
12 Co 0.500 0.500 0.500
13 P 0.000 0.500 0.417
14 P 0.000 0.500 0.917
15 P 0.500 0.000 0.083
16 P 0.500 0.000 0.583
17 P 0.500 0.500 0.250
18 P 0.500 0.500 0.750
19 O 0.179 0.778 0.382
20 O 0.180 0.403 0.951
21 O 0.180 0.777 0.883
22 O 0.182 0.404 0.451
23 O 0.222 0.821 0.618
24 O 0.223 0.403 0.216
25 O 0.223 0.403 0.716
26 O 0.223 0.820 0.117
27 O 0.403 0.180 0.049
28 O 0.403 0.223 0.284
29 O 0.403 0.223 0.784
30 O 0.404 0.180 0.549
31 O 0.596 0.818 0.549
32 O 0.597 0.777 0.284
33 O 0.597 0.777 0.784
34 O 0.597 0.820 0.049
35 O 0.777 0.180 0.618
36 O 0.777 0.597 0.216
37 O 0.777 0.597 0.716
38 O 0.778 0.180 0.117
39 O 0.820 0.222 0.883
40 O 0.820 0.223 0.382
41 O 0.820 0.596 0.451
42 O 0.820 0.597 0.951

---

LiMnP2H2O8: optimized geometry, PBE with a Hubbard U.

Computed properties:
Symmetry: P2_1/c (14)
Excess energy over the best structure of this formula in the dataset (meV/atom): 59.0
Calculated formation energy (eV per atom): -2.238

a = 5.222 Å, b = 8.741 Å, c = 14.384 Å
α = 90.00°, β = 98.80°, γ = 90.00°
Element x y z (fractional)
1 Li 0.125 0.005 0.331
2 Li 0.125 0.495 0.831
3 Li 0.875 0.505 0.169
4 Li 0.875 0.995 0.669
5 Mn 0.233 0.536 0.351
6 Mn 0.233 0.964 0.851
7 Mn 0.767 0.036 0.149
8 Mn 0.767 0.464 0.649
9 P 0.234 0.662 0.556
10 P 0.234 0.838 0.056
11 P 0.280 0.236 0.692
12 P 0.280 0.264 0.192
13 P 0.720 0.736 0.808
14 P 0.720 0.764 0.308
15 P 0.766 0.162 0.944
16 P 0.766 0.338 0.444
17 H 0.213 0.222 0.036
18 H 0.213 0.278 0.536
19 H 0.356 0.687 0.171
20 H 0.356 0.813 0.671
21 H 0.644 0.187 0.329
22 H 0.644 0.313 0.829
23 H 0.787 0.722 0.464
24 H 0.787 0.778 0.964
25 O 0.048 0.127 0.933
26 O 0.048 0.373 0.433
27 O 0.104 0.131 0.216
28 O 0.104 0.369 0.716
29 O 0.191 0.086 0.735
30 O 0.191 0.414 0.235
31 O 0.234 0.194 0.584
32 O 0.234 0.306 0.084
33 O 0.262 0.683 0.451
34 O 0.262 0.817 0.951
35 O 0.309 0.674 0.099
36 O 0.309 0.826 0.599
37 O 0.419 0.540 0.605
38 O 0.419 0.960 0.105
39 O 0.434 0.728 0.275
40 O 0.434 0.772 0.775
41 O 0.566 0.228 0.225
42 O 0.566 0.272 0.725
43 O 0.581 0.040 0.895
44 O 0.581 0.460 0.395
45 O 0.691 0.174 0.401
46 O 0.691 0.326 0.901
47 O 0.738 0.183 0.049
48 O 0.738 0.317 0.549
49 O 0.766 0.694 0.916
50 O 0.766 0.806 0.416
51 O 0.809 0.586 0.765
52 O 0.809 0.914 0.265
53 O 0.896 0.631 0.284
54 O 0.896 0.869 0.784
55 O 0.952 0.627 0.567
56 O 0.952 0.873 0.067

---

NiH6S2O12: optimized geometry, PBE with a Hubbard U.

Computed properties:
Symmetry: P-1 (2)
Excess energy over the best structure of this formula in the dataset (meV/atom): 2.6
Calculated formation energy (eV per atom): -1.024

a = 6.868 Å, b = 7.067 Å, c = 7.655 Å
α = 74.21°, β = 89.76°, γ = 83.60°
Element x y z (fractional)
1 Ni 0.000 0.000 0.000
2 H 0.067 0.665 0.159
3 H 0.131 0.150 0.257
4 H 0.186 0.929 0.365
5 H 0.814 0.071 0.635
6 H 0.869 0.850 0.743
7 H 0.933 0.335 0.841
8 S 0.492 0.573 0.695
9 S 0.508 0.427 0.305
10 O 0.035 0.269 0.933
11 O 0.091 0.017 0.278
12 O 0.230 0.886 0.959
13 O 0.307 0.390 0.292
14 O 0.351 0.728 0.591
15 O 0.437 0.379 0.775
16 O 0.563 0.621 0.225
17 O 0.649 0.272 0.409
18 O 0.693 0.610 0.708
19 O 0.770 0.114 0.041
20 O 0.909 0.983 0.722
21 O 0.965 0.731 0.067

---

K2MgFe4P6O16F12: optimized geometry, PBE with a Hubbard U.

Computed properties:
Symmetry: P-1 (2)
Excess energy over the best structure of this formula in the dataset (meV/atom): 89.8
Calculated formation energy (eV per atom): -2.635

a = 7.632 Å, b = 7.890 Å, c = 10.152 Å
α = 99.51°, β = 102.15°, γ = 92.62°
Element x y z (fractional)
1 K 0.204 0.098 0.221
2 K 0.796 0.902 0.779
3 Mg 0.500 0.000 0.500
4 Fe 0.000 0.500 0.500
5 Fe 0.156 0.293 0.838
6 Fe 0.500 0.000 0.000
7 Fe 0.844 0.707 0.162
8 P 0.168 0.691 0.997
9 P 0.225 0.923 0.631
10 P 0.422 0.406 0.652
11 P 0.578 0.594 0.348
12 P 0.775 0.077 0.369
13 P 0.832 0.309 0.003
14 O 0.079 0.763 0.114
15 O 0.125 0.749 0.592
16 O 0.134 0.056 0.712
17 O 0.203 0.503 0.983
18 O 0.283 0.427 0.531
19 O 0.325 0.812 0.994
20 O 0.387 0.351 0.778
21 O 0.433 0.935 0.669
22 O 0.567 0.065 0.331
23 O 0.613 0.649 0.222
24 O 0.675 0.188 0.006
25 O 0.717 0.573 0.469
26 O 0.797 0.497 0.017
27 O 0.866 0.944 0.288
28 O 0.875 0.251 0.408
29 O 0.921 0.237 0.886
30 F 0.021 0.702 0.861
31 F 0.029 0.398 0.689
32 F 0.221 0.998 0.479
33 F 0.294 0.165 0.980
34 F 0.432 0.438 0.301
35 F 0.450 0.736 0.406
36 F 0.550 0.264 0.594
37 F 0.568 0.562 0.699
38 F 0.706 0.835 0.020
39 F 0.779 0.002 0.521
40 F 0.971 0.602 0.311
41 F 0.979 0.298 0.139

---

VAgI2O8: optimized geometry, PBE with a Hubbard U.

Computed properties:
Symmetry: Pccn (56)
Calculated formation energy (eV per atom): -1.173

a = 10.902 Å, b = 18.428 Å, c = 14.153 Å
α = 90.00°, β = 90.00°, γ = 90.00°
Element x y z (fractional)
1 V 0.232 0.109 0.241
2 V 0.232 0.391 0.741
3 V 0.236 0.110 0.997
4 V 0.236 0.390 0.497
5 V 0.264 0.110 0.497
6 V 0.264 0.390 0.997
7 V 0.268 0.109 0.741
8 V 0.268 0.391 0.241
9 V 0.732 0.609 0.759
10 V 0.732 0.891 0.259
11 V 0.736 0.610 0.003
12 V 0.736 0.890 0.503
13 V 0.764 0.610 0.503
14 V 0.764 0.890 0.003
15 V 0.768 0.609 0.259
16 V 0.768 0.891 0.759
17 Ag 0.237 0.640 0.242
18 Ag 0.237 0.860 0.742
19 Ag 0.246 0.634 0.012
20 Ag 0.246 0.866 0.512
21 Ag 0.254 0.634 0.512
22 Ag 0.254 0.866 0.012
23 Ag 0.263 0.640 0.742
24 Ag 0.263 0.860 0.242
25 Ag 0.737 0.140 0.758
26 Ag 0.737 0.360 0.258
27 Ag 0.746 0.134 0.988
28 Ag 0.746 0.366 0.488
29 Ag 0.754 0.134 0.488
30 Ag 0.754 0.366 0.988
31 Ag 0.763 0.140 0.258
32 Ag 0.763 0.360 0.758
33 I 0.001 0.513 0.123
34 I 0.001 0.987 0.623
35 I 0.012 0.713 0.624
36 I 0.012 0.787 0.124
37 I 0.019 0.205 0.622
38 I 0.019 0.295 0.122
39 I 0.042 0.517 0.375
40 I 0.042 0.983 0.875
41 I 0.458 0.517 0.875
42 I 0.458 0.983 0.375
43 I 0.481 0.205 0.122
44 I 0.481 0.295 0.622
45 I 0.488 0.713 0.124
46 I 0.488 0.787 0.624
47 I 0.499 0.513 0.623
48 I 0.499 0.987 0.123
49 I 0.501 0.013 0.877
50 I 0.501 0.487 0.377
51 I 0.512 0.213 0.376
52 I 0.512 0.287 0.876
53 I 0.519 0.705 0.378
54 I 0.519 0.795 0.878
55 I 0.542 0.017 0.625
56 I 0.542 0.483 0.125
57 I 0.958 0.017 0.125
58 I 0.958 0.483 0.625
59 I 0.981 0.705 0.878
60 I 0.981 0.795 0.378
61 I 0.988 0.213 0.876
62 I 0.988 0.287 0.376
63 I 0.999 0.013 0.377
64 I 0.999 0.487 0.877
65 O 0.076 0.620 0.622
66 O 0.076 0.880 0.122
67 O 0.080 0.600 0.121
68 O 0.080 0.900 0.621
69 O 0.098 0.634 0.882
70 O 0.098 0.866 0.382
71 O 0.106 0.744 0.726
72 O 0.106 0.749 0.525
73 O 0.106 0.751 0.025
74 O 0.106 0.756 0.226
75 O 0.107 0.032 0.273
76 O 0.107 0.468 0.773
77 O 0.108 0.607 0.380
78 O 0.108 0.893 0.880
79 O 0.110 0.165 0.724
80 O 0.110 0.335 0.224
81 O 0.114 0.024 0.473
82 O 0.114 0.476 0.973
83 O 0.123 0.174 0.525
84 O 0.123 0.326 0.025
85 O 0.124 0.169 0.020
86 O 0.124 0.331 0.520
87 O 0.129 0.022 0.979
88 O 0.129 0.478 0.479
89 O 0.135 0.015 0.774
90 O 0.135 0.485 0.274
91 O 0.137 0.176 0.223
92 O 0.137 0.324 0.723
93 O 0.245 0.124 0.873
94 O 0.245 0.376 0.373
95 O 0.250 0.071 0.124
96 O 0.250 0.071 0.624
97 O 0.250 0.429 0.124
98 O 0.250 0.429 0.624
99 O 0.255 0.124 0.373
100 O 0.255 0.376 0.873
101 O 0.363 0.176 0.723
102 O 0.363 0.324 0.223
103 O 0.365 0.015 0.274
104 O 0.365 0.485 0.774
105 O 0.371 0.022 0.479
106 O 0.371 0.478 0.979
107 O 0.376 0.169 0.520
108 O 0.376 0.331 0.020
109 O 0.377 0.174 0.025
110 O 0.377 0.326 0.525
111 O 0.386 0.024 0.973
112 O 0.386 0.476 0.473
113 O 0.390 0.165 0.224
114 O 0.390 0.335 0.724
115 O 0.392 0.607 0.880
116 O 0.392 0.893 0.380
117 O 0.393 0.032 0.773
118 O 0.393 0.468 0.273
119 O 0.394 0.744 0.226
120 O 0.394 0.749 0.025
121 O 0.394 0.751 0.525
122 O 0.394 0.756 0.726
123 O 0.402 0.634 0.382
124 O 0.402 0.866 0.882
125 O 0.420 0.600 0.621
126 O 0.420 0.900 0.121
127 O 0.424 0.620 0.122
128 O 0.424 0.880 0.622
129 O 0.576 0.120 0.378
130 O 0.576 0.380 0.878
131 O 0.580 0.100 0.879
132 O 0.580 0.400 0.379
133 O 0.598 0.134 0.118
134 O 0.598 0.366 0.618
135 O 0.606 0.244 0.274
136 O 0.606 0.249 0.475
137 O 0.606 0.251 0.975
138 O 0.606 0.256 0.774
139 O 0.607 0.532 0.727
140 O 0.607 0.968 0.227
141 O 0.608 0.107 0.620
142 O 0.608 0.393 0.120
143 O 0.610 0.665 0.276
144 O 0.610 0.835 0.776
145 O 0.614 0.524 0.527
146 O 0.614 0.976 0.027
147 O 0.623 0.674 0.475
148 O 0.623 0.826 0.975
149 O 0.624 0.669 0.980
150 O 0.624 0.831 0.480
151 O 0.629 0.522 0.021
152 O 0.629 0.978 0.521
153 O 0.635 0.515 0.226
154 O 0.635 0.985 0.726
155 O 0.637 0.676 0.777
156 O 0.637 0.824 0.277
157 O 0.745 0.624 0.127
158 O 0.745 0.876 0.627
159 O 0.750 0.571 0.376
160 O 0.750 0.571 0.876
161 O 0.750 0.929 0.376
162 O 0.750 0.929 0.876
163 O 0.755 0.624 0.627
164 O 0.755 0.876 0.127
165 O 0.863 0.676 0.277
166 O 0.863 0.824 0.777
167 O 0.865 0.515 0.726
168 O 0.865 0.985 0.226
169 O 0.871 0.522 0.521
170 O 0.871 0.978 0.021
171 O 0.876 0.669 0.480
172 O 0.876 0.831 0.980
173 O 0.877 0.674 0.975
174 O 0.877 0.826 0.475
175 O 0.886 0.524 0.027
176 O 0.886 0.976 0.527
177 O 0.890 0.665 0.776
178 O 0.890 0.835 0.276
179 O 0.892 0.107 0.120
180 O 0.892 0.393 0.620
181 O 0.893 0.532 0.227
182 O 0.893 0.968 0.727
183 O 0.894 0.244 0.774
184 O 0.894 0.249 0.975
185 O 0.894 0.251 0.475
186 O 0.894 0.256 0.274
187 O 0.902 0.134 0.618
188 O 0.902 0.366 0.118
189 O 0.920 0.100 0.379
190 O 0.920 0.400 0.879
191 O 0.924 0.120 0.878
192 O 0.924 0.380 0.378

---

LiFeF4: optimized geometry, PBE with a Hubbard U.

Computed properties:
Symmetry: Pmn2_1 (31)
Excess energy over the best structure of this formula in the dataset (meV/atom): 71.5
Calculated formation energy (eV per atom): -2.753

a = 7.500 Å, b = 10.344 Å, c = 7.620 Å
α = 90.00°, β = 90.00°, γ = 90.00°
Element x y z (fractional)
1 Li 0.000 0.219 0.000
2 Li 0.000 0.235 0.457
3 Li 0.000 0.725 0.260
4 Li 0.000 0.730 0.688
5 Li 0.500 0.270 0.188
6 Li 0.500 0.275 0.760
7 Li 0.500 0.765 0.957
8 Li 0.500 0.781 0.500
9 Fe 0.247 0.496 0.930
10 Fe 0.250 0.005 0.677
11 Fe 0.250 0.995 0.177
12 Fe 0.253 0.504 0.430
13 Fe 0.747 0.504 0.430
14 Fe 0.750 0.005 0.677
15 Fe 0.750 0.995 0.177
16 Fe 0.753 0.496 0.930
17 F 0.000 0.412 0.908
18 F 0.000 0.433 0.469
19 F 0.000 0.918 0.221
20 F 0.000 0.930 0.642
21 F 0.163 0.164 0.205
22 F 0.167 0.660 0.873
23 F 0.169 0.677 0.461
24 F 0.176 0.176 0.633
25 F 0.190 0.025 0.926
26 F 0.191 0.530 0.179
27 F 0.309 0.470 0.679
28 F 0.310 0.975 0.426
29 F 0.324 0.824 0.133
30 F 0.331 0.323 0.961
31 F 0.333 0.340 0.373
32 F 0.337 0.836 0.705
33 F 0.500 0.070 0.142
34 F 0.500 0.082 0.721
35 F 0.500 0.567 0.969
36 F 0.500 0.588 0.408
37 F 0.663 0.836 0.705
38 F 0.667 0.340 0.373
39 F 0.669 0.323 0.961
40 F 0.676 0.824 0.133
41 F 0.690 0.975 0.426
42 F 0.691 0.470 0.679
43 F 0.809 0.530 0.179
44 F 0.810 0.025 0.926
45 F 0.824 0.176 0.633
46 F 0.831 0.677 0.461
47 F 0.833 0.660 0.873
48 F 0.837 0.164 0.205

---

The calculated total energy results, record by record, are as follows: -277.5; -369.7; -104.5; -254.8; -982.9; -243.6 eV/cell.